No. 1
Material: Cs3Zr2P5S18
Method: DFT, PBE-GGA
State: optimized geometry

Formation energy in meV/atom: -1124
V in Å³ per cell: 3419.9

```
data_Cs3Zr2P5S18
_cell_length_a 9.6507
_cell_length_b 10.2901
_cell_length_c 34.5482
_cell_angle_alpha 90.00
_cell_angle_beta 94.59
_cell_angle_gamma 90.00
_space_group_name_H-M_alt 'C 1 c 1'
_space_group_IT_number 9
loop_
_space_group_symop_operation_xyz
'x,y,z'
'x,-y,z+1/2'
'x+1/2,y+1/2,z'
'x+1/2,-y+1/2,z+1/2'
loop_
_atom_site_label
_atom_site_type_symbol
_atom_site_fract_x
_atom_site_fract_y
_atom_site_fract_z
Cs1 Cs 0.0000 0.0948 0.0000
Cs2 Cs 0.0080 0.3917 0.2044
Cs3 Cs 0.4192 0.1395 0.8909
Zr1 Zr 0.0576 0.0872 0.7908
Zr2 Zr 0.4504 0.2923 0.0999
P1 P 0.0222 0.2447 0.8736
P2 P 0.0303 0.1488 0.6950
P3 P 0.0890 0.2803 0.5170
P4 P 0.1594 0.4674 0.0809
P5 P 0.2371 0.1870 0.3102
S1 S 0.0261 0.1740 0.3061
S2 S 0.0274 0.0487 0.8651
S3 S 0.0956 0.3170 0.9243
S4 S 0.1084 0.3126 0.8254
S5 S 0.1301 0.4876 0.5200
S6 S 0.1403 0.2517 0.7383
S7 S 0.1463 0.1127 0.6489
S8 S 0.1564 0.2310 0.4662
S9 S 0.1643 0.2708 0.0857
S10 S 0.1824 0.1893 0.5647
S11 S 0.2927 0.3468 0.2802
S12 S 0.3027 0.2016 0.3707
S13 S 0.3084 0.0124 0.2910
S14 S 0.3537 0.4697 0.6006
S15 S 0.3619 0.2520 0.1700
S16 S 0.3837 0.2451 0.0256
S17 S 0.4781 0.4825 0.7236
S18 S 0.4995 0.0395 0.1098
```

No. 2
Material: Cs3SnPSe7
Method: DFT, PBE-GGA
State: optimized geometry

Formation energy in meV/atom: -986
V in Å³ per cell: 933.7

```
data_Cs3SnPSe7
_cell_length_a 7.7449
_cell_length_b 10.2495
_cell_length_c 12.7631
_cell_angle_alpha 79.53
_cell_angle_beta 88.33
_cell_angle_gamma 69.68
_space_group_name_H-M_alt 'P -1'
_space_group_IT_number 2
loop_
_space_group_symop_operation_xyz
'x,y,z'
'-x,-y,-z'
loop_
_atom_site_label
_atom_site_type_symbol
_atom_site_fract_x
_atom_site_fract_y
_atom_site_fract_z
Cs1 Cs 0.0567 0.4713 0.3000
Cs2 Cs 0.3306 0.8807 0.0985
Cs3 Cs 0.3733 0.8121 0.4785
Sn1 Sn 0.4049 0.5765 0.8664
P1 P 0.2196 0.0583 0.7220
Se1 Se 0.0321 0.9262 0.7062
Se2 Se 0.0765 0.7694 0.8724
Se3 Se 0.1334 0.1913 0.5622
Se4 Se 0.1436 0.1685 0.8566
Se5 Se 0.3259 0.4049 0.0273
Se6 Se 0.4690 0.4835 0.6977
Se7 Se 0.4968 0.0927 0.2636
```

No. 3
Material: Cs4Th2P5Se17
Method: DFT, PBE-GGA
State: optimized geometry

Formation energy in meV/atom: -1099
V in Å³ per cell: 3809.5

```
data_Cs4Th2P5Se17
_cell_length_a 10.4114
_cell_length_b 33.2827
_cell_length_c 11.0522
_cell_angle_alpha 90.00
_cell_angle_beta 95.90
_cell_angle_gamma 90.00
_space_group_name_H-M_alt 'P 1 21/c 1'
_space_group_IT_number 14
loop_
_space_group_symop_operation_xyz
'x,y,z'
'-x,-y,-z'
'-x,y+1/2,-z+1/2'
'x,-y+1/2,z+1/2'
loop_
_atom_site_label
_atom_site_type_symbol
_atom_site_fract_x
_atom_site_fract_y
_atom_site_fract_z
Cs1 Cs 0.1779 0.0546 0.1463
Cs2 Cs 0.1975 0.2278 0.1660
Cs3 Cs 0.3029 0.5651 0.2675
Cs4 Cs 0.3087 0.7339 0.3033
Th1 Th 0.2095 0.1087 0.6599
Th2 Th 0.3518 0.5996 0.7910
P1 P 0.0036 0.6654 0.6375
P2 P 0.0232 0.5289 0.9465
P3 P 0.1405 0.6350 0.5180
P4 P 0.3822 0.1862 0.4973
P5 P 0.4822 0.1367 0.4050
Se1 Se 0.0164 0.7293 0.6136
Se2 Se 0.0314 0.0803 0.4425
Se3 Se 0.0647 0.6404 0.8237
Se4 Se 0.0696 0.6457 0.3305
Se5 Se 0.1099 0.0283 0.7237
Se6 Se 0.1607 0.5714 0.5757
Se7 Se 0.1734 0.1722 0.4657
Se8 Se 0.1945 0.1405 0.9120
Se9 Se 0.2300 0.5253 0.9197
Se10 Se 0.3132 0.6461 0.0233
Se11 Se 0.3235 0.6638 0.5955
Se12 Se 0.4239 0.0738 0.8461
Se13 Se 0.4264 0.0804 0.5021
Se14 Se 0.4335 0.1394 0.2108
Se15 Se 0.4342 0.1702 0.6949
Se16 Se 0.4383 0.2446 0.4384
Se17 Se 0.4631 0.5215 0.7474
```

No. 4
Material: Cs4Pb9
Method: DFT, PBE-GGA
State: optimized geometry

Formation energy in meV/atom: -192
V in Å³ per cell: 2531.5

```
data_Cs4Pb9
_cell_length_a 10.3525
_cell_length_b 15.2136
_cell_length_c 17.7621
_cell_angle_alpha 90.00
_cell_angle_beta 115.19
_cell_angle_gamma 90.00
_space_group_name_H-M_alt 'P 1 21/c 1'
_space_group_IT_number 14
loop_
_space_group_symop_operation_xyz
'x,y,z'
'-x,-y,-z'
'-x,y+1/2,-z+1/2'
'x,-y+1/2,z+1/2'
loop_
_atom_site_label
_atom_site_type_symbol
_atom_site_fract_x
_atom_site_fract_y
_atom_site_fract_z
Cs1 Cs 0.1334 0.2298 0.1204
Cs2 Cs 0.2305 0.5689 0.3402
Cs3 Cs 0.2703 0.5401 0.0142
Cs4 Cs 0.3055 0.2290 0.9082
Pb1 Pb 0.0414 0.5786 0.5945
Pb2 Pb 0.0953 0.6550 0.7727
Pb3 Pb 0.0997 0.7137 0.1345
Pb4 Pb 0.2914 0.6904 0.5603
Pb5 Pb 0.2981 0.0059 0.2757
Pb6 Pb 0.3235 0.0113 0.1025
Pb7 Pb 0.4294 0.6780 0.8690
Pb8 Pb 0.4415 0.6974 0.2265
Pb9 Pb 0.4500 0.1031 0.7549
```

No. 5
Material: Cs2UPd3S6
Method: DFT, PBE-GGA
State: optimized geometry

Formation energy in meV/atom: -1208
V in Å³ per cell: 2653.5

```
data_Cs2UPd3S6
_cell_length_a 9.8582
_cell_length_b 15.8241
_cell_length_c 17.0098
_cell_angle_alpha 90.00
_cell_angle_beta 90.00
_cell_angle_gamma 90.00
_space_group_name_H-M_alt 'F m m m'
_space_group_IT_number 69
_space_group_name_Hall '-F 2 2'
loop_
_atom_site_label
_atom_site_type_symbol
_atom_site_fract_x
_atom_site_fract_y
_atom_site_fract_z
Cs1 Cs 0.0000 0.2013 0.0000
Cs2 Cs 0.2500 0.2500 0.2500
U1 U 0.0000 0.0000 0.3330
Pd1 Pd 0.1623 0.0000 0.1596
Pd2 Pd 0.1741 0.0000 0.5000
S1 S 0.0000 0.1007 0.2044
S2 S 0.1870 0.1016 0.3979
```

No. 6
Material: Cs2PdSe8
Method: DFT, PBE-GGA
State: optimized geometry

Formation energy in meV/atom: -844
V in Å³ per cell: 3192.0

```
data_Cs2PdSe8
_cell_length_a 15.3813
_cell_length_b 15.3813
_cell_length_c 13.4920
_cell_angle_alpha 90.00
_cell_angle_beta 90.00
_cell_angle_gamma 90.00
_space_group_name_H-M_alt 'I 41/a c d'
_space_group_IT_number 142
loop_
_space_group_symop_operation_xyz
'x,y,z'
'-x,-y,-z'
'-y+1/4,x+3/4,z+1/4'
'y+1/4,-x+3/4,-z+1/4'
'-x+1/2,-y,z+1/2'
'x+1/2,y,-z+1/2'
'y+1/4,-x+1/4,z+3/4'
'-y+1/4,x+1/4,-z+3/4'
'x,-y,-z+1/2'
'-x,y,z+1/2'
'-y+1/4,-x+1/4,-z+1/4'
'y+1/4,x+1/4,z+1/4'
'-x+1/2,y,-z'
'x+1/2,-y,z'
'y+1/4,x+3/4,-z+3/4'
'-y+1/4,-x+3/4,z+3/4'
'x+1/2,y+1/2,z+1/2'
'-x+1/2,-y+1/2,-z+1/2'
'-y+3/4,x+1/4,z+3/4'
'y+3/4,-x+1/4,-z+3/4'
'-x,-y+1/2,z'
'x,y+1/2,-z'
'y+3/4,-x+3/4,z+1/4'
'-y+3/4,x+3/4,-z+1/4'
'x+1/2,-y+1/2,-z'
'-x+1/2,y+1/2,z'
'-y+3/4,-x+3/4,-z+3/4'
'y+3/4,x+3/4,z+3/4'
'-x,y+1/2,-z+1/2'
'x,-y+1/2,z+1/2'
'y+3/4,x+1/4,-z+1/4'
'-y+3/4,-x+1/4,z+1/4'
loop_
_atom_site_label
_atom_site_type_symbol
_atom_site_fract_x
_atom_site_fract_y
_atom_site_fract_z
Cs1 Cs 0.1164 0.1336 0.1250
Pd1 Pd 0.0000 0.2500 0.3750
Se1 Se 0.0290 0.0921 0.3824
Se2 Se 0.0935 0.0064 0.8393
```

No. 7
Material: Cs2Pd3Se4
Method: DFT, PBE-GGA
State: optimized geometry

Formation energy in meV/atom: -954
V in Å³ per cell: 1119.5

```
data_Cs2Pd3Se4
_cell_length_a 6.6574
_cell_length_b 11.2893
_cell_length_c 14.8957
_cell_angle_alpha 90.00
_cell_angle_beta 90.00
_cell_angle_gamma 90.00
_space_group_name_H-M_alt 'F m m m'
_space_group_IT_number 69
_space_group_name_Hall '-F 2 2'
loop_
_atom_site_label
_atom_site_type_symbol
_atom_site_fract_x
_atom_site_fract_y
_atom_site_fract_z
Cs1 Cs 0.0000 0.0000 0.1519
Pd1 Pd 0.0000 0.0000 0.5000
Pd2 Pd 0.2500 0.2500 0.0000
Se1 Se 0.0000 0.1680 0.3916
```

No. 8
Material: Cs3Pt
Method: DFT, PBE-GGA
State: optimized geometry

Formation energy in meV/atom: 237
V in Å³ per cell: 192.9

```
data_Cs3Pt
_cell_length_a 5.7777
_cell_length_b 5.7777
_cell_length_c 5.7777
_cell_angle_alpha 90.00
_cell_angle_beta 90.00
_cell_angle_gamma 90.00
_space_group_name_H-M_alt 'P m -3 m'
_space_group_IT_number 221
_space_group_name_Hall '-P 4 2 3'
loop_
_atom_site_label
_atom_site_type_symbol
_atom_site_fract_x
_atom_site_fract_y
_atom_site_fract_z
Cs1 Cs 0.0000 0.0000 0.5000
Pt1 Pt 0.5000 0.5000 0.5000
```

No. 9
Material: Cs2UPt3Se6
Method: DFT, PBE-GGA
State: optimized geometry

Formation energy in meV/atom: -1102
V in Å³ per cell: 2942.0

```
data_Cs2UPt3Se6
_cell_length_a 10.2226
_cell_length_b 16.1574
_cell_length_c 17.8120
_cell_angle_alpha 90.00
_cell_angle_beta 90.00
_cell_angle_gamma 90.00
_space_group_name_H-M_alt 'F m m m'
_space_group_IT_number 69
_space_group_name_Hall '-F 2 2'
loop_
_atom_site_label
_atom_site_type_symbol
_atom_site_fract_x
_atom_site_fract_y
_atom_site_fract_z
Cs1 Cs 0.0000 0.1866 0.0000
Cs2 Cs 0.2500 0.2500 0.2500
U1 U 0.0000 0.0000 0.3324
Pt1 Pt 0.1662 0.0000 0.1615
Pt2 Pt 0.1677 0.0000 0.5000
Se1 Se 0.0000 0.1048 0.2012
Se2 Se 0.1902 0.1064 0.3995
```

No. 10
Material: CsRb3
Method: DFT, PBE-GGA
State: optimized geometry

Formation energy in meV/atom: 42
V in Å³ per cell: 776.3

```
data_CsRb3
_cell_length_a 7.1011
_cell_length_b 7.1011
_cell_length_c 15.3950
_cell_angle_alpha 90.00
_cell_angle_beta 90.00
_cell_angle_gamma 90.00
_space_group_name_H-M_alt 'I 4/m m m'
_space_group_IT_number 139
_space_group_name_Hall '-I 4 2'
loop_
_atom_site_label
_atom_site_type_symbol
_atom_site_fract_x
_atom_site_fract_y
_atom_site_fract_z
Cs1 Cs 0.0000 0.0000 0.0000
Rb1 Rb 0.0000 0.0000 0.5000
Rb2 Rb 0.0000 0.5000 0.2500
```

No. 11
Material: CsRb3
Method: DFT, PBE-GGA
State: optimized geometry

Formation energy in meV/atom: 46
V in Å³ per cell: 774.5

```
data_CsRb3
_cell_length_a 10.3845
_cell_length_b 10.3845
_cell_length_c 8.2929
_cell_angle_alpha 90.00
_cell_angle_beta 90.00
_cell_angle_gamma 120.00
_space_group_name_H-M_alt 'P 63/m m c'
_space_group_IT_number 194
_space_group_name_Hall '-P 6c 2c'
loop_
_atom_site_label
_atom_site_type_symbol
_atom_site_fract_x
_atom_site_fract_y
_atom_site_fract_z
Cs1 Cs 0.3333 0.6667 0.2500
Rb1 Rb 0.1645 0.3289 0.7500
```

- What is the V in the ninth record?
  2942.0 Å³ per cell